# 1
The following is a DFT calculation (r²SCAN) of crystalline NaSm2Se3 at its relaxed geometry.

V	307.8	Å³/cell
total DFT energy (no corrections)	-19.672	eV/atom
E_form	-2.011	eV per atom

Unit cell a=7.2208 b=7.2208 c=7.2032 alpha=99.71 beta=99.71 gamma=119.55
Element x y z (fractional)
Na1 0.0825 0.9175 0.7500
Na2 0.9175 0.0825 0.2500
Sm1 0.2487 0.7513 0.2500
Sm2 0.4165 0.5835 0.7500
Sm3 0.5835 0.4165 0.2500
Sm4 0.7513 0.2487 0.7500
Se1 0.0000 0.5000 0.5000
Se2 0.1687 0.3362 0.0021
Se3 0.3362 0.1687 0.5021
Se4 0.5000 0.0000 0.0000
Se5 0.6638 0.8313 0.4979
Se6 0.8313 0.6638 0.9979

# 2
The following is a DFT calculation (r²SCAN) of crystalline UTaN2 at its relaxed geometry.

V	202.7	Å³/cell
total DFT energy (no corrections)	-38.220	eV/atom
E_form	-1.522	eV per atom

Unit cell a=5.7193 b=3.2493 c=10.9068 alpha=90.00 beta=90.00 gamma=90.00
Element x y z (fractional)
U1 0.0767 0.2500 0.1430
U2 0.4233 0.7500 0.6430
U3 0.5767 0.2500 0.3570
U4 0.9233 0.7500 0.8570
Ta1 0.0706 0.7500 0.3983
Ta2 0.4294 0.2500 0.8983
Ta3 0.5706 0.7500 0.1017
Ta4 0.9294 0.2500 0.6017
N1 0.1657 0.2500 0.7554
N2 0.2397 0.7500 0.9937
N3 0.2603 0.2500 0.4937
N4 0.3343 0.7500 0.2554
N5 0.6657 0.2500 0.7446
N6 0.7397 0.7500 0.5063
N7 0.7603 0.2500 0.0063
N8 0.8343 0.7500 0.2446

# 3
The following is a DFT calculation (r²SCAN) of crystalline Ba2SrI6 at its relaxed geometry.

V	1685.6	Å³/cell
total DFT energy (no corrections)	-25.925	eV/atom
E_form	-1.981	eV per atom

Unit cell a=8.2455 b=8.2455 c=24.7927 alpha=90.00 beta=90.00 gamma=90.00
Element x y z (fractional)
Ba1 0.0000 0.0000 0.1654
Ba2 0.0000 0.0000 0.8346
Ba3 0.0000 0.5000 0.3349
Ba4 0.0000 0.5000 0.6651
Ba5 0.5000 0.0000 0.3349
Ba6 0.5000 0.0000 0.6651
Ba7 0.5000 0.5000 0.1654
Ba8 0.5000 0.5000 0.8346
Sr1 0.0000 0.0000 0.5000
Sr2 0.0000 0.5000 0.0000
Sr3 0.5000 0.0000 0.0000
Sr4 0.5000 0.5000 0.5000
I1 0.2402 0.2403 0.4199
I2 0.2403 0.7598 0.5801
I3 0.2482 0.2499 0.7499
I4 0.2495 0.2501 0.0804
I5 0.2499 0.2505 0.9196
I6 0.2501 0.2518 0.2501
I7 0.2505 0.7501 0.0804
I8 0.2501 0.7505 0.9196
I9 0.2499 0.7518 0.2501
I10 0.2518 0.7499 0.7499
I11 0.2597 0.2598 0.5801
I12 0.2598 0.7403 0.4199
I13 0.7402 0.2597 0.4199
I14 0.7403 0.7402 0.5801
I15 0.7482 0.2501 0.7499
I16 0.7501 0.2482 0.2501
I17 0.7495 0.2499 0.0804
I18 0.7499 0.2495 0.9196
I19 0.7499 0.7482 0.2501
I20 0.7505 0.7499 0.0804
I21 0.7501 0.7495 0.9196
I22 0.7518 0.7501 0.7499
I23 0.7597 0.2402 0.5801
I24 0.7598 0.7597 0.4199

# 4
The following is a DFT calculation (r²SCAN) of crystalline ZrFeSi at its relaxed geometry.

V	180.3	Å³/cell
total DFT energy (no corrections)	-15.953	eV/atom
E_form	-0.640	eV per atom

Unit cell a=6.4825 b=4.0099 c=6.9362 alpha=90.00 beta=90.00 gamma=90.00
Element x y z (fractional)
Zr1 0.0113 0.2500 0.1966
Zr2 0.4887 0.7500 0.6966
Zr3 0.5113 0.2500 0.3034
Zr4 0.9887 0.7500 0.8034
Fe1 0.1522 0.7500 0.4370
Fe2 0.3478 0.2500 0.9370
Fe3 0.6522 0.7500 0.0630
Fe4 0.8478 0.2500 0.5630
Si1 0.2083 0.2500 0.6063
Si2 0.2917 0.7500 0.1063
Si3 0.7083 0.2500 0.8937
Si4 0.7917 0.7500 0.3937